# 1
LiMg, relaxed, DFT GGA-PBE; E = -21.48 eV/cell; calculated density = 1.22 g/cm³; energy of formation from the pure elements = -35.5 meV per atom
1.0
5.036 0.000 0.000
0.000 3.199 0.000
0.000 0.000 15.897
Li Mg
6 6
Direct
0.000 0.000 0.000
0.000 0.000 0.333
0.000 0.500 0.500
0.000 0.500 0.833
0.500 0.000 0.887
0.500 0.500 0.387
0.000 0.000 0.666
0.000 0.500 0.166
0.500 0.000 0.223
0.500 0.000 0.549
0.500 0.500 0.049
0.500 0.500 0.723

# 2
LiMg, relaxed, DFT GGA-PBE; E = -21.69 eV/cell; calculated density = 1.27 g/cm³; energy of formation from the pure elements = -53.2 meV per atom
1.0
4.900 0.000 0.000
0.000 3.401 0.000
0.000 0.000 14.692
Li Mg
6 6
Direct
0.000 0.000 0.000
0.000 0.000 0.339
0.000 0.500 0.500
0.000 0.500 0.839
0.500 0.000 0.170
0.500 0.500 0.670
0.000 0.000 0.670
0.000 0.500 0.170
0.500 0.000 0.508
0.500 0.000 0.833
0.500 0.500 0.008
0.500 0.500 0.333

# 3
LiMg, relaxed, DFT GGA-PBE; E = -3.63 eV/cell; calculated density = 1.29 g/cm³; energy of formation from the pure elements = -60.0 meV per atom
1.0
3.422 0.000 0.000
0.000 3.422 0.000
0.000 0.000 3.422
Li Mg
1 1
Direct
0.000 0.000 0.000
0.500 0.500 0.500

# 4
LiMg, relaxed, DFT GGA-PBE; E = -21.54 eV/cell; calculated density = 1.27 g/cm³; energy of formation from the pure elements = -40.5 meV per atom
1.0
11.060 0.000 0.000
0.000 3.326 0.000
-2.213 0.000 6.661
Li Mg
6 6
Direct
0.000 0.000 0.000
0.014 0.000 0.495
0.351 0.000 0.175
0.500 0.500 0.000
0.514 0.500 0.495
0.851 0.500 0.175
0.172 0.500 0.316
0.172 0.500 0.842
0.351 0.000 0.663
0.672 0.000 0.316
0.672 0.000 0.842
0.851 0.500 0.663

Which value of calculated density does entry 2 give? 1.27 g/cm³

Which value of energy of formation from the pure elements does entry 2 give? -53.2 meV per atom

Please write out number 4 again, unchanged.
LiMg, relaxed, DFT GGA-PBE; E = -21.54 eV/cell; calculated density = 1.27 g/cm³; energy of formation from the pure elements = -40.5 meV per atom
1.0
11.060 0.000 0.000
0.000 3.326 0.000
-2.213 0.000 6.661
Li Mg
6 6
Direct
0.000 0.000 0.000
0.014 0.000 0.495
0.351 0.000 0.175
0.500 0.500 0.000
0.514 0.500 0.495
0.851 0.500 0.175
0.172 0.500 0.316
0.172 0.500 0.842
0.351 0.000 0.663
0.672 0.000 0.316
0.672 0.000 0.842
0.851 0.500 0.663

The lowest calculated density belongs to which entry? number 1